NdCo4B4: relaxed, r2SCAN.

abc: 7.0230 7.0230 3.7691
angles: 90.00 90.00 90.00
Last column: nearest neighbours and their distance in Å.
Space group P4_2/n (No. 86, origin choice 2)
Asymmetric unit:
Nd (0.2500, 0.2500, 0.2500) [2 per cell]  8 B 2.80, 8 Co 2.91-3.03
Co (0.1077, 0.6345, 0.1438) [8 per cell]  4 B 1.98-2.04
B (0.0469, 0.9112, 0.1467) [8 per cell]  1 B 1.79, 3 Co 1.98-2.00

Results
M_tot: 0.0 μB/f.u.
calculated density: 7.6 g/cm3
DFT total energy: -0.94135 Ry per atom